Entry 1:
10
Lattice="0.0000 5.4637 5.4637 5.4637 0.0000 5.4637 5.4637 5.4637 0.0000" Properties=species:S:1:pos:R:3 comment="Rb2LaAuCl6, relaxed, DFT meta-GGA r2SCAN" spacegroup="No. 225" pbc="T T T"
Rb 2.7318 2.7318 2.7318
Rb 8.1955 8.1955 8.1955
La 0.0000 0.0000 0.0000
Au 5.4637 5.4637 5.4637
Cl 5.4637 5.4637 2.7553
Cl 5.4637 2.7553 5.4637
Cl 8.1721 5.4637 5.4637
Cl 2.7553 5.4637 5.4637
Cl 5.4637 8.1721 5.4637
Cl 5.4637 5.4637 8.1721


Entry 2:
4
Lattice="2.0735 1.1971 7.7380 -2.0735 1.1971 7.7380 0.0000 -2.3943 7.7380" Properties=species:S:1:pos:R:3 comment="HoTlSe2, relaxed, DFT meta-GGA r2SCAN" spacegroup="No. 166" pbc="T T T"
Ho 0.0000 0.0000 0.0000
Tl 0.0000 0.0000 11.6070
Se 0.0000 0.0000 6.1693
Se 0.0000 0.0000 17.0448


Entry 3:
18
Lattice="8.5286 0.0000 0.0000 -4.2643 7.3860 0.0000 0.0000 0.0000 5.7936" Properties=species:S:1:pos:R:3 comment="Hf5CuSn3, relaxed, DFT meta-GGA r2SCAN" spacegroup="No. 193" pbc="T T T"
Hf -1.1165 1.9338 1.4484
Hf -3.1478 5.4522 4.3452
Hf 2.2329 0.0000 1.4484
Hf 1.1165 1.9338 4.3452
Hf 0.0000 4.9240 0.0000
Hf 0.0000 4.9240 2.8968
Hf 4.2643 2.4620 0.0000
Hf 4.2643 2.4620 2.8968
Hf 6.2957 0.0000 4.3452
Hf 3.1478 5.4522 1.4484
Cu 0.0000 0.0000 0.0000
Cu 0.0000 0.0000 2.8968
Sn -1.6530 2.8631 4.3452
Sn -2.6113 4.5229 1.4484
Sn 3.3061 0.0000 4.3452
Sn 1.6530 2.8631 1.4484
Sn 5.2226 0.0000 1.4484
Sn 2.6113 4.5229 4.3452


Entry 4:
4
Lattice="0.0000 3.6414 3.6414 3.6414 0.0000 3.6414 3.6414 3.6414 0.0000" Properties=species:S:1:pos:R:3 comment="NdSmZn2, relaxed, DFT meta-GGA r2SCAN" spacegroup="No. 225" pbc="T T T"
Nd 0.0000 0.0000 0.0000
Sm 3.6414 3.6414 3.6414
Zn 1.8207 1.8207 1.8207
Zn 5.4621 5.4621 5.4621


Entry 5:
6
Lattice="5.3669 0.0000 0.0000 -2.6834 4.6479 0.0000 0.0000 0.0000 6.7089" Properties=species:S:1:pos:R:3 comment="Dy2In, relaxed, DFT meta-GGA r2SCAN" spacegroup="No. 194" pbc="T T T"
Dy 0.0000 0.0000 0.0000
Dy 0.0000 0.0000 3.3545
Dy 0.0000 3.0986 1.6772
Dy 2.6834 1.5493 5.0317
In 0.0000 3.0986 5.0317
In 2.6834 1.5493 1.6772


Entry 6:
36
Lattice="7.5379 0.0000 0.0000 0.0000 6.9004 0.0000 -0.0057 0.0000 14.0758" Properties=species:S:1:pos:R:3 comment="Yb7Mg3Si8, relaxed, DFT meta-GGA r2SCAN" spacegroup="No. 4" pbc="T T T"
Yb 0.4905 0.0000 4.8880
Yb 0.5075 0.0186 9.2036
Yb 0.5091 4.7437 12.3172
Yb 0.5224 4.7342 1.7560
Yb 3.2515 0.1905 2.2076
Yb 3.2602 0.1768 11.8564
Yb 3.2627 2.3591 8.7220
Yb 4.2721 3.6270 2.2194
Yb 4.2696 5.8093 5.3538
Yb 4.2807 3.6407 11.8682
Yb 7.0098 1.2840 12.3198
Yb 7.0232 1.2935 1.7586
Yb 7.0248 3.4688 4.8722
Yb 7.0418 3.4502 9.1878
Mg 1.7521 4.6246 7.0286
Mg 2.0370 2.4613 14.0704
Mg 3.2676 2.3391 5.2725
Mg 4.2646 5.7893 8.8033
Mg 5.4953 5.9115 0.0054
Mg 5.7802 1.1744 7.0472
Si 0.8718 2.0160 7.0360
Si 1.2505 6.8237 14.0731
Si 1.6572 2.4427 3.0562
Si 1.6526 2.4424 11.0184
Si 2.1170 4.6527 10.0284
Si 2.1365 4.6420 4.0364
Si 2.5358 0.3068 7.0111
Si 2.8765 5.0791 0.0007
Si 4.6557 1.6289 14.0751
Si 4.9964 3.7570 7.0647
Si 5.3958 1.1918 10.0393
Si 5.4152 1.2025 4.0474
Si 5.8797 5.8926 3.0574
Si 5.8750 5.8929 11.0196
Si 6.2818 3.3735 0.0027
Si 6.6605 5.4662 7.0398


Entry 7:
4
Lattice="0.0000 3.6946 3.6946 3.6946 0.0000 3.6946 3.6946 3.6946 0.0000" Properties=species:S:1:pos:R:3 comment="AcInAg2, relaxed, DFT meta-GGA r2SCAN" spacegroup="No. 225" pbc="T T T"
Ac 0.0000 0.0000 0.0000
In 3.6946 3.6946 3.6946
Ag 1.8473 1.8473 1.8473
Ag 5.5419 5.5419 5.5419


Entry 8:
Below is a relaxed SiO2 crystal, with properties calculated at the meta-GGA r2SCAN level.

Cell and atoms, written as extended XYZ:
```
72
Lattice="15.8848 0.0000 0.0000 0.0000 9.5225 0.0000 0.0000 0.0000 8.5561" Properties=species:S:1:pos:R:3 pbc="T T T"
Si 7.9424 1.5115 4.8153
Si 5.2000 1.5133 0.5376
Si 5.2000 8.0092 4.8157
Si 5.2000 8.0092 8.0185
Si 2.7424 6.2745 3.7404
Si 7.9424 8.0110 0.5373
Si 10.6848 1.5133 0.5376
Si 13.1424 3.2480 8.0185
Si 13.1424 3.2480 4.8157
Si 0.0000 6.2727 4.8153
Si 7.9424 8.0110 3.7408
Si 2.7424 6.2745 0.5376
Si 10.6848 8.0092 4.8157
Si 0.0000 6.2727 8.0188
Si 0.0000 3.2498 0.5373
Si 10.6848 8.0092 8.0185
Si 7.9424 1.5115 8.0188
Si 13.1424 6.2745 0.5376
Si 0.0000 3.2498 3.7408
Si 10.6848 1.5133 3.7404
Si 2.7424 3.2480 8.0185
Si 5.2000 1.5133 3.7404
Si 2.7424 3.2480 4.8157
Si 13.1424 6.2745 3.7404
O 2.7415 6.2606 2.1390
O 0.0000 4.7612 0.0000
O 13.1433 6.2606 2.1390
O 7.9424 0.0000 0.0000
O 1.3593 6.9524 4.2665
O 5.0556 0.0000 0.0000
O 7.9424 7.9792 2.1390
O 10.8292 0.0000 4.2781
O 11.9136 2.3806 4.2781
O 9.3017 2.1912 4.2665
O 14.5256 2.5701 4.2897
O 1.3593 2.5701 4.2897
O 6.5832 2.1912 0.0116
O 0.0000 4.7612 4.2781
O 11.9136 7.1418 0.0000
O 0.0000 3.2180 2.1390
O 3.9712 7.1418 4.2781
O 6.5832 7.3313 8.5445
O 2.8868 4.7612 0.0000
O 5.2009 1.4994 2.1390
O 10.6839 8.0230 6.4171
O 11.9136 7.1418 4.2781
O 5.0556 0.0000 4.2781
O 5.2009 8.0230 6.4171
O 14.5256 2.5701 8.5445
O 3.9712 2.3806 0.0000
O 0.0000 6.3045 6.4171
O 10.6839 1.4994 2.1390
O 2.7415 3.2618 6.4171
O 6.5832 7.3313 4.2897
O 10.8292 0.0000 0.0000
O 9.3017 2.1912 0.0116
O 6.5832 2.1912 4.2665
O 3.9712 2.3806 4.2781
O 2.8868 4.7612 4.2781
O 13.1433 3.2618 6.4171
O 7.9424 1.5432 6.4171
O 14.5256 6.9524 4.2665
O 1.3593 6.9524 0.0116
O 3.9712 7.1418 0.0000
O 1.3593 2.5701 8.5445
O 11.9136 2.3806 0.0000
O 12.9980 4.7612 4.2781
O 7.9424 0.0000 4.2781
O 12.9980 4.7612 0.0000
O 14.5256 6.9524 0.0116
O 9.3017 7.3313 8.5445
O 9.3017 7.3313 4.2897
```


Entry 9:
45
Lattice="8.5576 0.0000 0.0000 -3.4232 7.8463 0.0000 -0.0023 -1.8633 9.1818" Properties=species:S:1:pos:R:3 comment="LaW11O33, relaxed, DFT meta-GGA r2SCAN" spacegroup="No. 2" pbc="T T T"
La 0.0000 0.0000 0.0000
W -0.9015 2.4348 2.1413
W 0.8829 -0.4880 6.2094
W -0.8131 6.1248 1.2849
W 0.8708 3.2176 5.3932
W 2.6014 2.0842 0.4560
W 4.2777 -0.9317 4.5909
W 2.5307 3.8987 8.7258
W 4.2613 2.7653 3.7886
W 5.9452 -0.1418 7.8969
W 4.2492 6.4710 2.9725
W 6.0336 3.5482 7.0406
O -0.0011 -0.9317 4.5909
O -2.5873 6.3829 2.0336
O -2.5962 5.4389 6.7384
O -1.7521 3.9801 8.7742
O -0.8555 4.2931 1.6710
O -0.8533 3.3728 6.2559
O -0.0081 2.8071 3.7558
O 0.8346 2.1871 1.2207
O 0.8582 1.3221 5.8384
O 1.6665 -0.2269 7.9608
O 2.5018 0.1824 0.8179
O 2.5660 -0.7415 5.4276
O -0.0014 6.5403 2.9215
O 0.8572 5.9786 0.4152
O 0.8575 5.0509 5.0002
O 1.7077 3.5576 7.0908
O 2.5672 3.9231 0.0000
O 2.5661 2.9915 4.5909
O 3.4244 2.4253 2.0910
O 4.2746 0.9321 4.1816
O 4.2749 0.0044 8.7667
O 5.1335 -0.5574 6.2604
O 2.5661 6.7245 3.7543
O 2.6304 5.8006 8.3639
O 3.4656 6.2099 1.2210
O 4.2739 4.6609 3.3434
O 4.2975 3.7959 7.9611
O 5.1402 3.1758 5.4260
O 5.9854 2.6101 2.9259
O 5.9876 1.6899 7.5108
O 6.8842 2.0029 0.4077
O 7.7283 0.5441 2.4435
O 7.7194 -0.4000 7.1483


Entry 10:
16
Lattice="-3.9311 3.9311 7.6324 3.9311 -3.9311 7.6324 3.9311 3.9311 -7.6324" Properties=species:S:1:pos:R:3 comment="Ca5Zn3, relaxed, DFT meta-GGA r2SCAN" spacegroup="No. 140" pbc="T T T"
Ca 0.0000 0.0000 0.0000
Ca 5.2771 1.3460 -2.2389
Ca 1.3460 2.5851 -2.2389
Ca 5.2771 1.3460 2.2389
Ca 1.3460 2.5851 2.2389
Ca 0.0000 0.0000 7.6324
Ca 2.5851 1.3460 5.3935
Ca -1.3460 2.5851 5.3935
Ca 2.5851 1.3460 9.8712
Ca -1.3460 2.5851 9.8712
Zn 3.0291 0.9020 0.0000
Zn 0.0000 0.0000 3.8162
Zn 3.0291 -0.9020 7.6324
Zn 0.9020 4.8331 0.0000
Zn 0.0000 0.0000 11.4486
Zn 0.9020 3.0291 7.6324


Entry 11:
9
Lattice="-2.0605 3.0402 6.1101 2.0605 -3.0402 6.1101 2.0605 3.0402 -6.1101" Properties=species:S:1:pos:R:3 comment="K2UF6, relaxed, DFT meta-GGA r2SCAN" spacegroup="No. 71" pbc="T T T"
K 0.0000 0.0000 2.0434
K 0.0000 0.0000 10.1768
U 0.0000 0.0000 6.1101
F 2.0605 1.6620 -1.7241
F 0.0000 1.8082 0.0000
F 2.0605 1.6620 1.7241
F 0.0000 1.3782 4.3860
F 0.0000 4.2722 0.0000
F 0.0000 1.3782 7.8342


Entry 12:
4
Lattice="0.0000 3.0112 3.0112 3.0112 0.0000 3.0112 3.0112 3.0112 0.0000" Properties=species:S:1:pos:R:3 comment="V2ReRu, relaxed, DFT meta-GGA r2SCAN" spacegroup="No. 225" pbc="T T T"
V 1.5056 1.5056 1.5056
V 4.5168 4.5168 4.5168
Re 0.0000 0.0000 0.0000
Ru 3.0112 3.0112 3.0112


Entry 13:
9
Lattice="7.2871 0.0000 0.0000 -3.6435 6.3108 0.0000 0.0000 0.0000 4.0579" Properties=species:S:1:pos:R:3 comment="US2, relaxed, DFT meta-GGA r2SCAN" spacegroup="No. 189" pbc="T T T"
U 0.0000 0.0000 0.0000
U 0.0000 4.2072 2.0289
U 3.6435 2.1036 2.0289
S -0.9450 1.6368 2.0289
S -2.1651 3.7500 0.0000
S 1.8901 0.0000 2.0289
S 1.4784 2.5607 0.0000
S 4.3302 0.0000 0.0000
S 2.6985 4.6739 2.0289


Entry 14:
12
Lattice="2.0845 -8.0429 0.0000 2.0845 8.0429 0.0000 0.0000 0.0000 10.9183" Properties=species:S:1:pos:R:3 comment="CsYbMnSe3, relaxed, DFT meta-GGA r2SCAN" spacegroup="No. 63" pbc="T T T"
Cs 2.0845 4.1528 8.1887
Cs 2.0845 -4.1528 2.7296
Yb 2.0845 0.0000 0.0000
Yb 2.0845 0.0000 5.4591
Mn 2.0845 7.4273 2.7296
Mn 2.0845 -7.4273 8.1887
Se 2.0845 6.1968 0.5692
Se 2.0845 6.1968 4.8899
Se 2.0845 0.8695 2.7296
Se 2.0845 -0.8695 8.1887
Se 2.0845 -6.1968 6.0283
Se 2.0845 -6.1968 10.3491


Entry 15:
10
Lattice="0.0000 4.5139 4.9368 3.2756 0.0000 4.9368 3.2756 4.5139 0.0000" Properties=species:S:1:pos:R:3 comment="SmB2Ru2, relaxed, DFT meta-GGA r2SCAN" spacegroup="No. 70" pbc="T T T"
Sm 0.8189 1.1285 1.2342
Sm 5.7323 7.8994 8.6395
B 2.4567 1.7152 3.7026
B 4.0945 3.9721 6.1710
B 2.4567 5.0557 3.7026
B 4.0945 7.3127 6.1710
Ru 2.4567 3.3855 2.3461
Ru 4.0945 5.6424 4.8146
Ru 2.4567 3.3855 5.0591
Ru 4.0945 5.6424 7.5275


Entry 16:
2
Lattice="3.2527 0.0000 0.0000 0.0000 3.2527 0.0000 0.0000 0.0000 3.2527" Properties=species:S:1:pos:R:3 comment="ZrCu, relaxed, DFT meta-GGA r2SCAN" spacegroup="No. 221" pbc="T T T"
Zr 0.0000 0.0000 0.0000
Cu 1.6263 1.6263 1.6263


Entry 17:
10
Lattice="0.0000 4.2772 4.2772 4.2772 0.0000 4.2772 4.2772 4.2772 0.0000" Properties=species:S:1:pos:R:3 comment="Sr2YbUO6, relaxed, DFT meta-GGA r2SCAN" spacegroup="No. 225" pbc="T T T"
Sr 2.1386 2.1386 2.1386
Sr 6.4157 6.4157 6.4157
Yb 0.0000 0.0000 0.0000
U 4.2772 4.2772 4.2772
O 4.2772 4.2772 2.1546
O 4.2772 2.1546 4.2772
O 6.3998 4.2772 4.2772
O 2.1546 4.2772 4.2772
O 4.2772 6.3998 4.2772
O 4.2772 4.2772 6.3998


Entry 18:
10
Lattice="9.8746 -2.1763 0.0000 9.8746 2.1763 0.0000 -2.1176 0.0000 8.8933" Properties=species:S:1:pos:R:3 comment="Ce4SiI5, relaxed, DFT meta-GGA r2SCAN" spacegroup="No. 12" pbc="T T T"
Ce -0.4589 0.0000 1.9285
Ce 18.0905 0.0000 6.9648
Ce 4.9614 0.0000 8.1952
Ce 12.6703 0.0000 0.6981
Si 9.8746 0.0000 0.0000
I 2.5872 0.0000 3.0758
I 1.6447 0.0000 7.3246
I 8.8158 0.0000 4.4466
I 15.9870 0.0000 1.5687
I 15.0445 0.0000 5.8175


Number 1: formation enthalpy at 0 K -1.873 eV/atom. Number 2: formation enthalpy at 0 K -1.606 eV/atom. Number 3: formation enthalpy at 0 K -0.420 eV/atom. Number 4: formation enthalpy at 0 K -0.342 eV/atom. Number 5: formation enthalpy at 0 K -0.482 eV/atom. Number 6: formation enthalpy at 0 K -0.700 eV/atom. Number 7: formation enthalpy at 0 K -0.327 eV/atom. Number 8: formation enthalpy at 0 K -2.997 eV/atom. Number 9: formation enthalpy at 0 K -2.395 eV/atom. Number 10: formation enthalpy at 0 K -0.183 eV/atom. Number 11: formation enthalpy at 0 K -3.670 eV/atom. Number 12: formation enthalpy at 0 K -0.363 eV/atom. Number 13: formation enthalpy at 0 K -1.784 eV/atom. Number 14: formation enthalpy at 0 K -1.694 eV/atom. Number 15: formation enthalpy at 0 K -0.605 eV/atom. Number 16: formation enthalpy at 0 K -0.096 eV/atom. Number 17: formation enthalpy at 0 K -3.544 eV/atom. Number 18: formation enthalpy at 0 K -1.406 eV/atom.